(1)
CoPH3O5 | PBE with a Hubbard U | relaxed

abc: 8.3486 9.7915 9.9187
angles: 109.31 101.97 110.52
With the nearest neighbours (Å) after each atom.
Sites, in units of the cell vectors:
Co  0.0000  0.0000  0.0000  4 O 1.97-2.04
Co  0.1097  0.4516  0.6877  2 O 1.67-1.87
Co  0.2773  0.9558  0.5813  1 H 1.47
Co  0.3968  0.1184  0.1326  2 H 1.97-2.14, 4 O 2.02-2.14
Co  0.6253  0.9833  0.0982  1 H 1.48
Co  0.7979  0.4920  0.8355  4 O 1.90-2.01
P  0.0312  0.2309  0.3335  5 O 1.59-1.73
P  0.1412  0.7616  0.0095  5 O 1.68-1.74
P  0.1892  0.3146  0.9393  4 O 1.51-1.61
P  0.5448  0.6627  0.7439  4 O 1.50-1.64
P  0.5794  0.1144  0.4691  4 O 1.53-1.62
P  0.5820  0.1893  0.8829  4 O 1.51-1.66
H  0.0023  0.5380  0.2536  1 O 0.98
H  0.0647  0.1224  0.4853  1 O 0.98
H  0.0878  0.8900  0.4751  1 Co 1.47
H  0.1369  0.8348  0.7647  1 O 1.04
H  0.1546  0.9843  0.2513  1 O 0.98
H  0.2240  0.7348  0.6644  1 O 0.98
H  0.2941  0.6558  0.1214  1 O 0.99
H  0.3079  0.3848  0.3664  1 O 0.98
H  0.4829  0.3699  0.1882  1 H 0.78
H  0.5499  0.3561  0.2429  1 H 0.78
H  0.6311  0.8568  0.1459  1 Co 1.48
H  0.6668  0.9303  0.8338  1 O 1.03
H  0.6769  0.6572  0.5779  1 O 0.98
H  0.7000  0.9448  0.3954  1 O 0.98
H  0.7188  0.0917  0.7267  1 O 0.98
H  0.9392  0.4154  0.4249  1 O 1.03
H  0.9557  0.6558  0.2022  1 O 0.99
H  0.9949  0.4085  0.9802  1 O 0.98
O  0.0245  0.3250  0.9947  1 H 0.98
O  0.0522  0.8215  0.8833  1 H 1.51
O  0.0667  0.5653  0.8709  1 P 1.74
O  0.1376  0.3013  0.7723  1 P 1.57
O  0.1633  0.3539  0.5182  1 P 1.67, 1 Co 1.87
O  0.1701  0.1495  0.9432  1 P 1.58
O  0.1731  0.9706  0.1537  1 H 0.98
O  0.1949  0.8267  0.6808  2 H 0.98-1.04
O  0.2080  0.2838  0.2818  1 H 0.98
O  0.2390  0.7296  0.1540  1 H 0.99
O  0.3539  0.8749  0.0146  1 P 1.71
O  0.3593  0.6457  0.7428  1 P 1.50
O  0.3710  0.4579  0.0500  1 P 1.51
O  0.3752  0.0242  0.4512  1 P 1.56
O  0.4030  0.1548  0.7707  1 P 1.51
O  0.5637  0.6616  0.5860  1 H 0.98
O  0.5688  0.1436  0.0158  1 P 1.54
O  0.5812  0.1302  0.3191  1 P 1.55
O  0.6057  0.5459  0.7769  1 P 1.50
O  0.6501  0.0592  0.7894  1 H 0.98
O  0.6734  0.9977  0.4844  1 H 0.98
O  0.6890  0.8494  0.8714  1 H 1.03
O  0.6920  0.2697  0.6190  1 P 1.53
O  0.7268  0.3640  0.9415  1 P 1.53
O  0.8915  0.0875  0.1477  1 P 1.73
O  0.9166  0.3289  0.3193  1 H 1.03
O  0.9364  0.6871  0.0266  1 P 1.68, 1 H 1.85
O  0.9693  0.6267  0.2888  2 H 0.98-0.99
O  0.9794  0.5086  0.5899  1 H 1.48
O  0.9936  0.0734  0.3746  1 H 0.98

Computed properties:
Energy relative to the elements (eV per atom): -1.459
Electronic total energy (eV/atom): -5.696



(2)
CoPH3O5 | PBE with a Hubbard U | relaxed

abc: 9.6487 9.6487 9.6487
angles: 112.72 112.72 112.72
With the nearest neighbours (Å) after each atom.
Sites, in units of the cell vectors:
Co  0.0751  0.7921  0.5409  6 O 2.05-2.21
Co  0.2079  0.4591  0.9249  6 O 2.05-2.21
Co  0.4591  0.9249  0.2079  6 O 2.05-2.21
Co  0.5409  0.0751  0.7921  6 O 2.05-2.21
Co  0.7921  0.5409  0.0751  6 O 2.05-2.21
Co  0.9249  0.2079  0.4591  6 O 2.05-2.21
P  0.2466  0.6893  0.3272  4 O 1.53-1.62
P  0.3107  0.6728  0.7534  4 O 1.53-1.62
P  0.3272  0.2466  0.6893  4 O 1.53-1.62
P  0.6728  0.7534  0.3107  4 O 1.53-1.62
P  0.6893  0.3272  0.2466  4 O 1.53-1.62
P  0.7534  0.3107  0.6728  4 O 1.53-1.62
H  0.0407  0.8395  0.1306  1 O 0.99
H  0.0875  0.1416  0.3226  1 O 1.00
H  0.1306  0.0407  0.8395  1 O 0.99
H  0.1416  0.3226  0.0875  1 O 1.00
H  0.1605  0.8694  0.9593  1 O 0.99
H  0.1762  0.4793  0.3831  1 O 1.01
H  0.3226  0.0875  0.1416  1 O 1.00
H  0.3831  0.1762  0.4793  1 O 1.01
H  0.4793  0.3831  0.1762  1 O 1.01
H  0.5207  0.6169  0.8238  1 O 1.01
H  0.6169  0.8238  0.5207  1 O 1.01
H  0.6774  0.9125  0.8584  1 O 1.00
H  0.8238  0.5207  0.6169  1 O 1.01
H  0.8395  0.1306  0.0407  1 O 0.99
H  0.8584  0.6774  0.9125  1 O 1.00
H  0.8694  0.9593  0.1605  1 O 0.99
H  0.9125  0.8584  0.6774  1 O 1.00
H  0.9593  0.1605  0.8694  1 O 0.99
O  0.0449  0.8983  0.7529  2 H 0.99-1.00
O  0.0855  0.6976  0.3172  1 P 1.56
O  0.1017  0.2471  0.9551  2 H 0.99-1.00
O  0.1468  0.4733  0.5541  1 P 1.53
O  0.1643  0.2488  0.6747  1 P 1.53
O  0.1881  0.4882  0.2871  1 H 1.01
O  0.2471  0.9551  0.1017  2 H 0.99-1.00
O  0.2488  0.6747  0.1643  1 P 1.53
O  0.2871  0.1881  0.4882  1 H 1.01
O  0.3024  0.6828  0.9145  1 P 1.56
O  0.3172  0.0855  0.6976  1 P 1.56
O  0.3253  0.8357  0.7512  1 P 1.53
O  0.4459  0.8532  0.5267  1 P 1.53
O  0.4733  0.5541  0.1468  1 P 1.53
O  0.4882  0.2871  0.1881  1 H 1.01
O  0.5118  0.7129  0.8119  1 H 1.01
O  0.5267  0.4459  0.8532  1 P 1.53
O  0.5541  0.1468  0.4733  1 P 1.53
O  0.6747  0.1643  0.2488  1 P 1.53
O  0.6828  0.9145  0.3024  1 P 1.56
O  0.6976  0.3172  0.0855  1 P 1.56
O  0.7129  0.8119  0.5118  1 H 1.01
O  0.7512  0.3253  0.8357  1 P 1.53
O  0.7529  0.0449  0.8983  2 H 0.99-1.00
O  0.8119  0.5118  0.7129  1 H 1.01
O  0.8357  0.7512  0.3253  1 P 1.53
O  0.8532  0.5267  0.4459  1 P 1.53
O  0.8983  0.7529  0.0449  2 H 0.99-1.00
O  0.9145  0.3024  0.6828  1 P 1.56
O  0.9551  0.1017  0.2471  2 H 0.99-1.00

Computed properties:
Energy relative to the elements (eV per atom): -1.819
Electronic total energy (eV/atom): -6.056



(3)
Zn2CoP2H8O12 | PBE with a Hubbard U | relaxed

abc: 10.6409 18.9977 5.0493
angles: 90.00 90.00 90.00
With the nearest neighbours (Å) after each atom.
Sites, in units of the cell vectors:
Zn  0.1420  0.0009  0.2247  4 O 1.92-2.03
Zn  0.1420  0.4991  0.2247  4 O 1.92-2.03
Zn  0.3580  0.5009  0.7247  4 O 1.92-2.03
Zn  0.3580  0.9991  0.7247  4 O 1.92-2.03
Zn  0.6420  0.0009  0.2753  4 O 1.92-2.03
Zn  0.6420  0.4991  0.2753  4 O 1.92-2.03
Zn  0.8580  0.5009  0.7753  4 O 1.92-2.03
Zn  0.8580  0.9991  0.7753  4 O 1.92-2.03
Co  0.2321  0.7500  0.5647  6 O 2.09-2.16
Co  0.2679  0.2500  0.0647  6 O 2.09-2.16
Co  0.7321  0.7500  0.9353  6 O 2.09-2.16
Co  0.7679  0.2500  0.4353  6 O 2.09-2.16
P  0.1020  0.5941  0.7335  4 O 1.53-1.60
P  0.1020  0.9059  0.7335  4 O 1.53-1.60
P  0.3980  0.0941  0.2335  4 O 1.53-1.60
P  0.3980  0.4059  0.2335  4 O 1.53-1.60
P  0.6020  0.5941  0.7665  4 O 1.53-1.60
P  0.6020  0.9059  0.7665  4 O 1.53-1.60
P  0.8980  0.0941  0.2665  4 O 1.53-1.60
P  0.8980  0.4059  0.2665  4 O 1.53-1.60
H  0.0669  0.2095  0.3707  1 O 0.97
H  0.0669  0.2905  0.3707  1 O 0.97
H  0.1040  0.7099  0.1246  1 O 0.99
H  0.1040  0.7901  0.1246  1 O 0.99
H  0.1184  0.1338  0.9345  1 O 0.99
H  0.1184  0.3662  0.9345  1 O 0.99
H  0.2128  0.1531  0.6973  1 O 0.97
H  0.2128  0.3469  0.6973  1 O 0.97
H  0.2872  0.6531  0.1973  1 O 0.97
H  0.2872  0.8469  0.1973  1 O 0.97
H  0.3816  0.6338  0.4345  1 O 0.99
H  0.3816  0.8662  0.4345  1 O 0.99
H  0.3960  0.2099  0.6246  1 O 0.99
H  0.3960  0.2901  0.6246  1 O 0.99
H  0.4331  0.7095  0.8707  1 O 0.97
H  0.4331  0.7905  0.8707  1 O 0.97
H  0.5669  0.2095  0.1293  1 O 0.97
H  0.5669  0.2905  0.1293  1 O 0.97
H  0.6040  0.7099  0.3754  1 O 0.99
H  0.6040  0.7901  0.3754  1 O 0.99
H  0.6184  0.1338  0.5655  1 O 0.99
H  0.6184  0.3662  0.5655  1 O 0.99
H  0.7128  0.1531  0.8027  1 O 0.97
H  0.7128  0.3469  0.8027  1 O 0.97
H  0.7872  0.6531  0.3027  1 O 0.97
H  0.7872  0.8469  0.3027  1 O 0.97
H  0.8816  0.6338  0.0655  1 O 0.99
H  0.8816  0.8662  0.0655  1 O 0.99
H  0.8960  0.2099  0.8754  1 O 0.99
H  0.8960  0.2901  0.8754  1 O 0.99
H  0.9331  0.7095  0.6293  1 O 0.97
H  0.9331  0.7905  0.6293  1 O 0.97
O  0.0316  0.0799  0.1480  1 P 1.57, 1 H 1.75
O  0.0316  0.4201  0.1480  1 P 1.57, 1 H 1.75
O  0.1023  0.5805  0.4330  1 P 1.54
O  0.1023  0.9195  0.4330  1 P 1.54
O  0.1030  0.7500  0.2504  2 H 0.99
O  0.1212  0.2500  0.3399  2 H 0.97
O  0.1408  0.6698  0.7992  1 P 1.53
O  0.1408  0.8302  0.7992  1 P 1.53
O  0.1669  0.1721  0.8483  2 H 0.97-0.99
O  0.1669  0.3279  0.8483  2 H 0.97-0.99
O  0.1949  0.5395  0.8723  1 P 1.60
O  0.1949  0.9605  0.8723  1 P 1.60
O  0.3051  0.0395  0.3723  1 P 1.60
O  0.3051  0.4605  0.3723  1 P 1.60
O  0.3331  0.6721  0.3483  2 H 0.97-0.99
O  0.3331  0.8279  0.3483  2 H 0.97-0.99
O  0.3592  0.1698  0.2992  1 P 1.53
O  0.3592  0.3302  0.2992  1 P 1.53
O  0.3788  0.7500  0.8399  2 H 0.97
O  0.3970  0.2500  0.7504  2 H 0.99
O  0.3977  0.0805  0.9330  1 P 1.54
O  0.3977  0.4195  0.9330  1 P 1.54
O  0.4684  0.5799  0.6480  1 P 1.57, 1 H 1.75
O  0.4684  0.9201  0.6480  1 P 1.57, 1 H 1.75
O  0.5316  0.0799  0.3520  1 P 1.57, 1 H 1.75
O  0.5316  0.4201  0.3520  1 P 1.57, 1 H 1.75
O  0.6023  0.5805  0.0670  1 P 1.54
O  0.6023  0.9195  0.0670  1 P 1.54
O  0.6030  0.7500  0.2496  2 H 0.99
O  0.6212  0.2500  0.1601  2 H 0.97
O  0.6408  0.6698  0.7008  1 P 1.53
O  0.6408  0.8302  0.7008  1 P 1.53
O  0.6669  0.1721  0.6517  2 H 0.97-0.99
O  0.6669  0.3279  0.6517  2 H 0.97-0.99
O  0.6949  0.5395  0.6277  1 P 1.60
O  0.6949  0.9605  0.6277  1 P 1.60
O  0.8051  0.0395  0.1277  1 P 1.60
O  0.8051  0.4605  0.1277  1 P 1.60
O  0.8331  0.6721  0.1517  2 H 0.97-0.99
O  0.8331  0.8279  0.1517  2 H 0.97-0.99
O  0.8592  0.1698  0.2008  1 P 1.53
O  0.8592  0.3302  0.2008  1 P 1.53
O  0.8788  0.7500  0.6601  2 H 0.97
O  0.8970  0.2500  0.7496  2 H 0.99
O  0.8977  0.0805  0.5670  1 P 1.54
O  0.8977  0.4195  0.5670  1 P 1.54
O  0.9684  0.5799  0.8520  1 P 1.57, 1 H 1.75
O  0.9684  0.9201  0.8520  1 P 1.57, 1 H 1.75

Computed properties:
Energy relative to the elements (eV per atom): -1.782
Electronic total energy (eV/atom): -5.666